Version a
The following is a DFT calculation (PBE with a Hubbard U) of an optimized crystal structure of LiLa4Ni3WO12.

Results
Total magnetization (μB/atom): 0.238
Theoretical density (g/cm3): 7.08

Lattice parameters (Å, degrees): 5.531 8.503 5.556 90.00 90.62 90.00
Space group P2/m (No. 10)
Inequivalent atoms, fractional coordinates:
Li (0.000, 0.000, 0.000) x1
La (0.000, 0.307, 0.000) x2
La (0.500, 0.279, 0.500) x2
Ni (0.000, 0.500, 0.500) x1
Ni (0.500, 0.000, 0.000) x1
Ni (0.500, 0.500, 0.000) x1
W (0.000, 0.000, 0.500) x1
O (0.000, 0.245, 0.500) x2
O (0.241, 0.000, 0.751) x2
O (0.244, 0.000, 0.243) x2
O (0.244, 0.500, 0.752) x2
O (0.247, 0.500, 0.250) x2
O (0.500, 0.254, 0.000) x2

Version b
The following is a DFT calculation (PBE with a Hubbard U) of an optimized crystal structure of LiLa4Ni3WO12.

Results
Total magnetization (μB/atom): 0.333
Theoretical density (g/cm3): 6.98

Lattice parameters (Å, degrees): 5.472 8.697 5.568 90.00 90.17 90.00
Space group P2/m (No. 10)
Inequivalent atoms, fractional coordinates:
Li (0.000, 0.000, 0.000) x1
La (0.000, 0.283, 0.000) x2
La (0.500, 0.204, 0.500) x2
Ni (0.000, 0.000, 0.500) x1
Ni (0.500, 0.000, 0.000) x1
Ni (0.500, 0.500, 0.000) x1
W (0.000, 0.500, 0.500) x1
O (0.000, 0.263, 0.500) x2
O (0.176, 0.500, 0.178) x2
O (0.220, 0.000, 0.776) x2
O (0.293, 0.000, 0.296) x2
O (0.299, 0.500, 0.679) x2
O (0.500, 0.259, 0.000) x2

Which of them is least stable? Easy: version a.

Version a
The following is a DFT calculation (PBE with a Hubbard U) of an optimized crystal structure of La4MgMnO8.

Results
Total magnetization (μB/atom): 0.357
Theoretical density (g/cm3): 6.30

Lattice parameters (Å, degrees): 5.655 12.566 5.657 90.00 90.00 90.00
Space group Cmmm (No. 65)
Inequivalent atoms, fractional coordinates:
La (0.000, 0.137, 0.000) x4
La (0.000, 0.362, 0.500) x4
Mg (0.000, 0.000, 0.500) x2
Mn (0.000, 0.500, 0.000) x2
O (0.000, 0.181, 0.500) x4
O (0.000, 0.317, 0.000) x4
O (0.245, 0.000, 0.256) x8

Version b
The following is a DFT calculation (PBE with a Hubbard U) of an optimized crystal structure of La4MgMnO8.

Results
Total magnetization (μB/atom): 0.284
Theoretical density (g/cm3): 5.59

Lattice parameters (Å, degrees): 16.528 5.279 5.195 90.00 90.04 90.00
Space group Cm (No. 8)
Inequivalent atoms, fractional coordinates:
La (0.000, 0.000, 0.000) x2
La (0.074, 0.500, 0.500) x2
La (0.287, 0.500, 0.499) x2
La (0.361, 0.000, 0.000) x2
Mg (0.181, 0.000, 0.999) x2
Mn (0.181, 0.000, 0.499) x2
O (0.027, 0.000, 0.499) x2
O (0.181, 0.261, 0.256) x4
O (0.181, 0.261, 0.742) x4
O (0.334, 0.000, 0.498) x2
O (0.366, 0.500, 0.999) x2
O (0.495, 0.000, 0.999) x2

Version c
The following is a DFT calculation (PBE with a Hubbard U) of an optimized crystal structure of La4MgMnO8.

Results
Total magnetization (μB/atom): 0.282
Theoretical density (g/cm3): 5.96

Lattice parameters (Å, degrees): 5.150 5.497 7.993 69.95 89.98 89.96
Space group P-1 (No. 2)
Inequivalent atoms, fractional coordinates:
La (0.000, 0.125, 0.249) x2
La (0.499, 0.683, 0.134) x2
Mg (0.500, 0.500, 0.500) x1
Mn (0.500, 0.000, 0.500) x1
O (0.001, 0.701, 0.098) x2
O (0.245, 0.241, 0.500) x2
O (0.245, 0.759, 0.500) x2
O (0.500, 0.171, 0.157) x2

Which of them is least stable? Easy: version c.

Version a
The following is a DFT calculation (PBE with a Hubbard U) of an optimized crystal structure of NaLaMgWO6.

Results
Total magnetization (μB/atom): 0.000
Theoretical density (g/cm3): 6.18

Lattice parameters (Å, degrees): 5.610 5.606 7.959 90.00 90.06 90.00
Space group P2_1/m (No. 11)
Inequivalent atoms, fractional coordinates:
Na (0.237, 0.250, 0.002) x2
La (0.251, 0.250, 0.498) x2
Mg (0.252, 0.750, 0.757) x2
W (0.250, 0.750, 0.238) x2
O (0.014, 0.504, 0.225) x4
O (0.176, 0.750, 0.494) x2
O (0.330, 0.750, 0.011) x2
O (0.494, 0.509, 0.303) x4

Version b
The following is a DFT calculation (PBE with a Hubbard U) of an optimized crystal structure of NaLaMgWO6.

Results
Total magnetization (μB/atom): 0.000
Theoretical density (g/cm3): 6.15

Lattice parameters (Å, degrees): 5.604 5.604 8.020 90.00 90.00 90.00
Space group P4/nmm (No. 129, origin choice 2)
Inequivalent atoms, fractional coordinates:
Na (0.250, 0.750, 0.000) x2
La (0.250, 0.750, 0.500) x2
Mg (0.250, 0.250, 0.245) x2
W (0.250, 0.250, 0.757) x2
O (0.007, 0.007, 0.730) x8
O (0.250, 0.250, 0.504) x2
O (0.250, 0.250, 0.990) x2

Which of them is least stable? Easy: version b.

Version a
The following is a DFT calculation (PBE with a Hubbard U) of an optimized crystal structure of La2MgNi2O6.

Results
Total magnetization (μB/atom): 0.182
Theoretical density (g/cm3): 5.91

Lattice parameters (Å, degrees): 5.225 5.532 5.820 111.13 107.23 97.04
Space group P1 (No. 1)
Inequivalent atoms, fractional coordinates:
La (0.000, 0.000, 0.000) x1
La (0.381, 0.472, 0.786) x1
Mg (0.681, 0.729, 0.399) x1
Ni (0.182, 0.744, 0.405) x1
Ni (0.688, 0.230, 0.405) x1
O (0.385, 0.388, 0.276) x1
O (0.409, 0.887, 0.216) x1
O (0.536, 0.871, 0.727) x1
O (0.832, 0.610, 0.081) x1
O (0.959, 0.578, 0.588) x1
O (0.988, 0.078, 0.552) x1

Version b
The following is a DFT calculation (PBE with a Hubbard U) of an optimized crystal structure of La2MgNi2O6.

Results
Total magnetization (μB/atom): 0.364
Theoretical density (g/cm3): 5.55

Lattice parameters (Å, degrees): 5.8077 5.8077 15.8459 90.00 90.00 120.00
Space group R3 (No. 146, hexagonal axes)
Inequivalent atoms, fractional coordinates:
La (0.0000, 0.0000, 0.0000) x3
La (0.0000, 0.0000, 0.4093) x3
Mg (0.0000, 0.0000, 0.7732) x3
Ni (0.0000, 0.0000, 0.2017) x3
Ni (0.0000, 0.0000, 0.6034) x3
O (0.0148, 0.6099, 0.9580) x9
O (0.0684, 0.3608, 0.7850) x9

Which of them is least stable? Easy: version b.

Version a
The following is a DFT calculation (PBE with a Hubbard U) of an optimized crystal structure of La3Mn3O10.

Results
Total magnetization (μB/atom): 0.021
Theoretical density (g/cm3): 6.26

Lattice parameters (Å, degrees): 5.455 5.457 22.822 96.60 90.12 118.87
Space group P1 (No. 1)
Inequivalent atoms, fractional coordinates:
La (0.000, 0.000, 0.000) x1
La (0.088, 0.901, 0.295) x1
La (0.191, 0.811, 0.582) x1
La (0.297, 0.698, 0.901) x1
La (0.390, 0.607, 0.185) x1
La (0.593, 0.402, 0.790) x1
La (0.688, 0.306, 0.086) x1
La (0.799, 0.201, 0.401) x1
La (0.888, 0.099, 0.687) x1
Mn (0.048, 0.960, 0.143) x1
Mn (0.141, 0.849, 0.444) x1
Mn (0.242, 0.751, 0.742) x1
Mn (0.447, 0.556, 0.344) x1
Mn (0.546, 0.458, 0.638) x1
Mn (0.639, 0.348, 0.941) x1
Mn (0.743, 0.254, 0.243) x1
Mn (0.839, 0.153, 0.539) x1
Mn (0.941, 0.052, 0.842) x1
O (0.011, 0.531, 0.500) x1
O (0.029, 0.842, 0.792) x1
O (0.042, 0.052, 0.492) x1
O (0.062, 0.359, 0.779) x1
O (0.123, 0.426, 0.277) x1
O (0.164, 0.289, 0.603) x1
O (0.200, 0.313, 0.105) x1
O (0.229, 0.659, 0.385) x1
O (0.245, 0.867, 0.098) x1
O (0.279, 0.178, 0.380) x1
O (0.333, 0.230, 0.877) x1
O (0.355, 0.077, 0.207) x1
O (0.412, 0.131, 0.704) x1
O (0.440, 0.439, 0.986) x1
O (0.452, 0.649, 0.695) x1
O (0.488, 0.994, 0.979) x1
O (0.521, 0.022, 0.484) x1
O (0.559, 0.879, 0.806) x1
O (0.622, 0.951, 0.305) x1
O (0.647, 0.465, 0.289) x1
O (0.648, 0.237, 0.597) x1
O (0.693, 0.796, 0.588) x1
O (0.745, 0.837, 0.088) x1
O (0.784, 0.702, 0.396) x1
O (0.825, 0.752, 0.905) x1
O (0.829, 0.038, 0.195) x1
O (0.855, 0.271, 0.888) x1
O (0.860, 0.554, 0.180) x1
O (0.924, 0.619, 0.679) x1
O (0.943, 0.471, 0.997) x1

Version b
The following is a DFT calculation (PBE with a Hubbard U) of an optimized crystal structure of La3Mn3O10.

Results
Total magnetization (μB/atom): 0.625
Theoretical density (g/cm3): 6.26

Lattice parameters (Å, degrees): 5.455 5.457 22.822 96.60 90.12 118.87
Space group P1 (No. 1)
Inequivalent atoms, fractional coordinates:
La (0.000, 0.000, 0.000) x1
La (0.088, 0.196, 0.295) x1
La (0.191, 0.392, 0.582) x1
La (0.297, 0.599, 0.901) x1
La (0.390, 0.792, 0.185) x1
La (0.593, 0.192, 0.790) x1
La (0.688, 0.391, 0.086) x1
La (0.799, 0.603, 0.401) x1
La (0.888, 0.786, 0.687) x1
Mn (0.048, 0.103, 0.143) x1
Mn (0.141, 0.293, 0.444) x1
Mn (0.242, 0.492, 0.742) x1
Mn (0.447, 0.900, 0.344) x1
Mn (0.546, 0.096, 0.638) x1
Mn (0.639, 0.289, 0.941) x1
Mn (0.743, 0.497, 0.243) x1
Mn (0.839, 0.692, 0.539) x1
Mn (0.941, 0.894, 0.842) x1
O (0.011, 0.031, 0.500) x1
O (0.029, 0.635, 0.792) x1
O (0.042, 0.544, 0.492) x1
O (0.062, 0.139, 0.779) x1
O (0.123, 0.703, 0.277) x1
O (0.164, 0.891, 0.603) x1
O (0.200, 0.419, 0.105) x1
O (0.229, 0.044, 0.385) x1
O (0.245, 0.965, 0.098) x1
O (0.279, 0.558, 0.380) x1
O (0.333, 0.107, 0.877) x1
O (0.355, 0.283, 0.207) x1
O (0.412, 0.835, 0.704) x1
O (0.440, 0.426, 0.986) x1
O (0.452, 0.344, 0.695) x1
O (0.488, 0.973, 0.979) x1
O (0.521, 0.506, 0.484) x1
O (0.559, 0.685, 0.806) x1
O (0.622, 0.257, 0.305) x1
O (0.647, 0.755, 0.289) x1
O (0.648, 0.835, 0.597) x1
O (0.693, 0.384, 0.588) x1
O (0.745, 0.925, 0.088) x1
O (0.784, 0.097, 0.396) x1
O (0.825, 0.657, 0.905) x1
O (0.829, 0.234, 0.195) x1
O (0.855, 0.159, 0.888) x1
O (0.860, 0.734, 0.180) x1
O (0.924, 0.299, 0.679) x1
O (0.943, 0.467, 0.997) x1

Which of them is least stable? Easy: version a.